No. 1
# MgTe4Mo4Se2S2 (GGA-PBE, optimized geometry)
# **Calculated formation energy**: -450 meV per atom
# **E**: -5.974 eV per atom
data_MgTe4Mo4Se2S2
_cell_length_a 3.389
_cell_length_b 3.389
_cell_length_c 38.676
_cell_angle_alpha 90.00
_cell_angle_beta 90.00
_cell_angle_gamma 60.00
_space_group_name_H-M_alt 'P 1'
_space_group_IT_number 1
loop_
_space_group_symop_operation_xyz
'x,y,z'
loop_
_atom_site_label
_atom_site_type_symbol
_atom_site_fract_x
_atom_site_fract_y
_atom_site_fract_z
Mg1 Mg 0.000 0.000 0.000
Te1 Te 0.046 0.005 0.176
Te2 Te 0.046 0.005 0.273
Te3 Te 0.713 0.672 0.364
Te4 Te 0.713 0.672 0.461
Mo1 Mo 0.046 0.005 0.412
Mo2 Mo 0.047 0.005 0.788
Mo3 Mo 0.713 0.672 0.224
Mo4 Mo 0.713 0.672 0.600
Se1 Se 0.713 0.672 0.745
Se2 Se 0.713 0.672 0.831
S1 S 0.046 0.005 0.561
S2 S 0.046 0.005 0.639

---

No. 2
# MgTe2Mo3WSe4S2 (GGA-PBE, optimized geometry)
# **Calculated formation energy**: -552 meV per atom
# **E**: -6.293 eV per atom
data_MgTe2Mo3WSe4S2
_cell_length_a 3.3382
_cell_length_b 3.3382
_cell_length_c 45.8560
_cell_angle_alpha 90.00
_cell_angle_beta 90.00
_cell_angle_gamma 120.00
_space_group_name_H-M_alt 'P 3 m 1'
_space_group_IT_number 156
loop_
_space_group_symop_operation_xyz
'x,y,z'
'-y,x-y,z'
'-x+y,-x,z'
'-y,-x,z'
'-x+y,y,z'
'x,x-y,z'
loop_
_atom_site_label
_atom_site_type_symbol
_atom_site_fract_x
_atom_site_fract_y
_atom_site_fract_z
Mg1 Mg 0.0000 0.0000 0.0000
Te1 Te 0.3333 0.6667 0.4318
Te2 Te 0.3333 0.6667 0.5147
Mo1 Mo 0.3333 0.6667 0.2852
Mo2 Mo 0.3333 0.6667 0.9024
Mo3 Mo 0.6667 0.3333 0.4733
W1 W 0.6667 0.3333 0.1057
Se1 Se 0.3333 0.6667 0.0689
Se2 Se 0.3333 0.6667 0.1423
Se3 Se 0.6667 0.3333 0.8661
Se4 Se 0.6667 0.3333 0.9393
S1 S 0.6667 0.3333 0.2521
S2 S 0.6667 0.3333 0.3183

---

No. 3
# MgTe4Mo3WSe2S2 (GGA-PBE, optimized geometry)
# **Calculated formation energy**: -432 meV per atom
# **E**: -6.118 eV per atom
data_MgTe4Mo3WSe2S2
_cell_length_a 3.4028
_cell_length_b 3.4028
_cell_length_c 45.1933
_cell_angle_alpha 90.00
_cell_angle_beta 90.00
_cell_angle_gamma 120.00
_space_group_name_H-M_alt 'P 3 m 1'
_space_group_IT_number 156
loop_
_space_group_symop_operation_xyz
'x,y,z'
'-y,x-y,z'
'-x+y,-x,z'
'-y,-x,z'
'-x+y,y,z'
'x,x-y,z'
loop_
_atom_site_label
_atom_site_type_symbol
_atom_site_fract_x
_atom_site_fract_y
_atom_site_fract_z
Mg1 Mg 0.0000 0.0000 0.0000
Te1 Te 0.3333 0.6667 0.4166
Te2 Te 0.3333 0.6667 0.5000
Te3 Te 0.6667 0.3333 0.8467
Te4 Te 0.6667 0.3333 0.9297
Mo1 Mo 0.3333 0.6667 0.2703
Mo2 Mo 0.3333 0.6667 0.8880
Mo3 Mo 0.6667 0.3333 0.0893
W1 W 0.6667 0.3333 0.4583
Se1 Se 0.6667 0.3333 0.2339
Se2 Se 0.6667 0.3333 0.3068
S1 S 0.3333 0.6667 0.0557
S2 S 0.3333 0.6667 0.1221

---

No. 4
# MgTe2Mo3WSe4S2 (GGA-PBE, optimized geometry)
# **Calculated formation energy**: -514 meV per atom
# **E**: -6.255 eV per atom
data_MgTe2Mo3WSe4S2
_cell_length_a 5.780
_cell_length_b 3.337
_cell_length_c 38.121
_cell_angle_alpha 90.00
_cell_angle_beta 90.00
_cell_angle_gamma 90.00
_space_group_name_H-M_alt 'C 1 m 1'
_space_group_IT_number 8
loop_
_space_group_symop_operation_xyz
'x,y,z'
'x,-y,z'
'x+1/2,y+1/2,z'
'x+1/2,-y+1/2,z'
loop_
_atom_site_label
_atom_site_type_symbol
_atom_site_fract_x
_atom_site_fract_y
_atom_site_fract_z
Mg1 Mg 0.000 0.000 0.000
Te1 Te 0.327 0.000 0.178
Te2 Te 0.327 0.000 0.278
Mo1 Mo 0.161 0.500 0.604
Mo2 Mo 0.327 0.000 0.416
Mo3 Mo 0.327 0.000 0.792
W1 W 0.161 0.500 0.228
Se1 Se 0.161 0.500 0.372
Se2 Se 0.161 0.500 0.460
Se3 Se 0.161 0.500 0.748
Se4 Se 0.161 0.500 0.835
S1 S 0.327 0.000 0.564
S2 S 0.327 0.000 0.643

---

No. 5
# MgTe4MoW3Se2S2 (GGA-PBE, optimized geometry)
# **Calculated formation energy**: -386 meV per atom
# **E**: -6.398 eV per atom
data_MgTe4MoW3Se2S2
_cell_length_a 3.3878
_cell_length_b 3.3878
_cell_length_c 46.5510
_cell_angle_alpha 90.00
_cell_angle_beta 90.00
_cell_angle_gamma 120.00
_space_group_name_H-M_alt 'P 3 m 1'
_space_group_IT_number 156
loop_
_space_group_symop_operation_xyz
'x,y,z'
'-y,x-y,z'
'-x+y,-x,z'
'-y,-x,z'
'-x+y,y,z'
'x,x-y,z'
loop_
_atom_site_label
_atom_site_type_symbol
_atom_site_fract_x
_atom_site_fract_y
_atom_site_fract_z
Mg1 Mg 0.0000 0.0000 0.0000
Te1 Te 0.3333 0.6667 0.4257
Te2 Te 0.3333 0.6667 0.5068
Te3 Te 0.6667 0.3333 0.8560
Te4 Te 0.6667 0.3333 0.9370
Mo1 Mo 0.3333 0.6667 0.8963
W1 W 0.3333 0.6667 0.2785
W2 W 0.6667 0.3333 0.0996
W3 W 0.6667 0.3333 0.4663
Se1 Se 0.6667 0.3333 0.2429
Se2 Se 0.6667 0.3333 0.3142
S1 S 0.3333 0.6667 0.0671
S2 S 0.3333 0.6667 0.1319

---

No. 6
# MgTe4Mo2W2Se2S2 (GGA-PBE, optimized geometry)
# **Calculated formation energy**: -413 meV per atom
# **E**: -6.262 eV per atom
data_MgTe4Mo2W2Se2S2
_cell_length_a 3.3943
_cell_length_b 3.3943
_cell_length_c 44.8006
_cell_angle_alpha 90.00
_cell_angle_beta 90.00
_cell_angle_gamma 120.00
_space_group_name_H-M_alt 'P 3 m 1'
_space_group_IT_number 156
loop_
_space_group_symop_operation_xyz
'x,y,z'
'-y,x-y,z'
'-x+y,-x,z'
'-y,-x,z'
'-x+y,y,z'
'x,x-y,z'
loop_
_atom_site_label
_atom_site_type_symbol
_atom_site_fract_x
_atom_site_fract_y
_atom_site_fract_z
Mg1 Mg 0.0000 0.0000 0.0000
Te1 Te 0.3333 0.6667 0.2379
Te2 Te 0.3333 0.6667 0.3220
Te3 Te 0.6667 0.3333 0.6743
Te4 Te 0.6667 0.3333 0.7580
Mo1 Mo 0.3333 0.6667 0.0976
Mo2 Mo 0.3333 0.6667 0.7161
W1 W 0.6667 0.3333 0.2800
W2 W 0.6667 0.3333 0.8967
Se1 Se 0.6667 0.3333 0.0602
Se2 Se 0.6667 0.3333 0.1343
S1 S 0.3333 0.6667 0.8632
S2 S 0.3333 0.6667 0.9304

---

No. 7
# MgTe4Mo2W2Se2S2 (GGA-PBE, optimized geometry)
# **Calculated formation energy**: -408 meV per atom
# **E**: -6.257 eV per atom
data_MgTe4Mo2W2Se2S2
_cell_length_a 5.906
_cell_length_b 3.410
_cell_length_c 42.826
_cell_angle_alpha 90.00
_cell_angle_beta 90.11
_cell_angle_gamma 90.00
_space_group_name_H-M_alt 'C 1 m 1'
_space_group_IT_number 8
loop_
_space_group_symop_operation_xyz
'x,y,z'
'x,-y,z'
'x+1/2,y+1/2,z'
'x+1/2,-y+1/2,z'
loop_
_atom_site_label
_atom_site_type_symbol
_atom_site_fract_x
_atom_site_fract_y
_atom_site_fract_z
Mg1 Mg 0.000 0.000 0.000
Te1 Te 0.002 0.000 0.227
Te2 Te 0.004 0.000 0.314
Te3 Te 0.169 0.500 0.663
Te4 Te 0.170 0.500 0.751
Mo1 Mo 0.002 0.000 0.088
Mo2 Mo 0.170 0.500 0.271
W1 W 0.003 0.000 0.707
W2 W 0.170 0.500 0.891
Se1 Se 0.003 0.000 0.853
Se2 Se 0.004 0.000 0.930
S1 S 0.168 0.500 0.053
S2 S 0.169 0.500 0.123

---

No. 8
# MgTe4MoW3Se2S2 (GGA-PBE, optimized geometry)
# **Calculated formation energy**: -382 meV per atom
# **E**: -6.394 eV per atom
data_MgTe4MoW3Se2S2
_cell_length_a 3.3917
_cell_length_b 3.3917
_cell_length_c 46.0893
_cell_angle_alpha 90.00
_cell_angle_beta 90.00
_cell_angle_gamma 120.00
_space_group_name_H-M_alt 'P 3 m 1'
_space_group_IT_number 156
loop_
_space_group_symop_operation_xyz
'x,y,z'
'-y,x-y,z'
'-x+y,-x,z'
'-y,-x,z'
'-x+y,y,z'
'x,x-y,z'
loop_
_atom_site_label
_atom_site_type_symbol
_atom_site_fract_x
_atom_site_fract_y
_atom_site_fract_z
Mg1 Mg 0.0000 0.0000 0.0000
Te1 Te 0.3333 0.6667 0.2442
Te2 Te 0.3333 0.6667 0.3260
Te3 Te 0.6667 0.3333 0.6806
Te4 Te 0.6667 0.3333 0.7621
Mo1 Mo 0.3333 0.6667 0.7213
W1 W 0.3333 0.6667 0.1037
W2 W 0.6667 0.3333 0.2851
W3 W 0.6667 0.3333 0.9019
Se1 Se 0.6667 0.3333 0.0675
Se2 Se 0.6667 0.3333 0.1397
S1 S 0.3333 0.6667 0.8694
S2 S 0.3333 0.6667 0.9346

---

No. 9
# MgTe4Mo2W2Se2S2 (GGA-PBE, optimized geometry)
# **Calculated formation energy**: -413 meV per atom
# **E**: -6.262 eV per atom
data_MgTe4Mo2W2Se2S2
_cell_length_a 3.3943
_cell_length_b 3.3943
_cell_length_c 45.2704
_cell_angle_alpha 90.00
_cell_angle_beta 90.00
_cell_angle_gamma 120.00
_space_group_name_H-M_alt 'P 3 m 1'
_space_group_IT_number 156
loop_
_space_group_symop_operation_xyz
'x,y,z'
'-y,x-y,z'
'-x+y,-x,z'
'-y,-x,z'
'-x+y,y,z'
'x,x-y,z'
loop_
_atom_site_label
_atom_site_type_symbol
_atom_site_fract_x
_atom_site_fract_y
_atom_site_fract_z
Mg1 Mg 0.0000 0.0000 0.0000
Te1 Te 0.3333 0.6667 0.2440
Te2 Te 0.3333 0.6667 0.3273
Te3 Te 0.6667 0.3333 0.6804
Te4 Te 0.6667 0.3333 0.7633
Mo1 Mo 0.3333 0.6667 0.7219
Mo2 Mo 0.6667 0.3333 0.9049
W1 W 0.3333 0.6667 0.1053
W2 W 0.6667 0.3333 0.2857
Se1 Se 0.3333 0.6667 0.8686
Se2 Se 0.3333 0.6667 0.9420
S1 S 0.6667 0.3333 0.0720
S2 S 0.6667 0.3333 0.1385

---

No. 10
# MgTe4Mo3WSe2S2 (GGA-PBE, optimized geometry)
# **Calculated formation energy**: -428 meV per atom
# **E**: -6.115 eV per atom
data_MgTe4Mo3WSe2S2
_cell_length_a 3.3935
_cell_length_b 3.3935
_cell_length_c 46.0990
_cell_angle_alpha 90.00
_cell_angle_beta 90.00
_cell_angle_gamma 120.00
_space_group_name_H-M_alt 'P 3 m 1'
_space_group_IT_number 156
loop_
_space_group_symop_operation_xyz
'x,y,z'
'-y,x-y,z'
'-x+y,-x,z'
'-y,-x,z'
'-x+y,y,z'
'x,x-y,z'
loop_
_atom_site_label
_atom_site_type_symbol
_atom_site_fract_x
_atom_site_fract_y
_atom_site_fract_z
Mg1 Mg 0.0000 0.0000 0.0000
Te1 Te 0.3333 0.6667 0.0642
Te2 Te 0.3333 0.6667 0.1459
Te3 Te 0.3333 0.6667 0.4326
Te4 Te 0.3333 0.6667 0.5143
Mo1 Mo 0.3333 0.6667 0.2857
Mo2 Mo 0.3333 0.6667 0.9014
Mo3 Mo 0.6667 0.3333 0.1053
W1 W 0.6667 0.3333 0.4735
Se1 Se 0.6667 0.3333 0.8657
Se2 Se 0.6667 0.3333 0.9377
S1 S 0.6667 0.3333 0.2531
S2 S 0.6667 0.3333 0.3183